Record 1
LiMg3W3O12: optimized geometry, PBE with a Hubbard U.

## Properties
total magnetic moment = 4.00 Bohr magnetons per cell
energy of formation = -2419 meV per atom

Structure (POSCAR):
```
LiMg3W3O12
1.0
5.238 0.000 0.000
0.000 10.723 0.000
0.000 0.000 17.329
Li Mg W O
4 12 12 48
Direct
0.277 0.250 0.695
0.723 0.750 0.305
0.223 0.750 0.195
0.777 0.250 0.805
0.102 0.250 0.251
0.898 0.750 0.749
0.398 0.750 0.751
0.602 0.250 0.249
0.242 0.070 0.528
0.758 0.930 0.472
0.258 0.930 0.028
0.758 0.570 0.472
0.742 0.070 0.972
0.242 0.430 0.528
0.742 0.430 0.972
0.258 0.570 0.028
0.283 0.250 0.055
0.717 0.750 0.945
0.217 0.750 0.555
0.783 0.250 0.445
0.278 0.536 0.331
0.722 0.464 0.669
0.222 0.464 0.831
0.722 0.036 0.669
0.778 0.536 0.169
0.278 0.964 0.331
0.778 0.964 0.169
0.222 0.036 0.831
0.355 0.123 0.293
0.645 0.877 0.707
0.145 0.877 0.793
0.645 0.623 0.707
0.855 0.123 0.207
0.355 0.377 0.293
0.855 0.377 0.207
0.145 0.623 0.793
0.016 0.613 0.275
0.984 0.387 0.725
0.484 0.387 0.775
0.984 0.113 0.725
0.516 0.613 0.225
0.016 0.887 0.275
0.516 0.887 0.225
0.484 0.113 0.775
0.069 0.250 0.507
0.931 0.750 0.493
0.431 0.750 0.007
0.569 0.250 0.993
0.085 0.115 0.034
0.915 0.885 0.966
0.415 0.885 0.534
0.915 0.615 0.966
0.585 0.115 0.466
0.085 0.385 0.034
0.585 0.385 0.466
0.415 0.615 0.534
0.353 0.250 0.157
0.647 0.750 0.843
0.147 0.750 0.657
0.853 0.250 0.343
0.084 0.006 0.422
0.916 0.994 0.578
0.416 0.994 0.922
0.916 0.506 0.578
0.584 0.006 0.078
0.084 0.494 0.422
0.584 0.494 0.078
0.416 0.506 0.922
0.046 0.616 0.121
0.954 0.384 0.879
0.454 0.384 0.621
0.954 0.116 0.879
0.546 0.616 0.379
0.046 0.884 0.121
0.546 0.884 0.379
0.454 0.116 0.621
```


Record 2
NbV3O8: optimized geometry, PBE with a Hubbard U.

## Properties
excess energy over the best structure of this formula in the dataset = 6.57 kJ/mol of atoms
total magnetic moment = 8.00 Bohr magnetons per cell
energy of formation = -2568 meV per atom

Structure (POSCAR):
```
NbV3O8
1.0
1.829 -5.014 -2.659
-8.746 -3.408 0.490
-0.118 -0.483 -6.041
Nb V O
2 6 16
Direct
0.308 0.499 0.356
0.700 0.998 0.635
0.798 0.720 0.859
0.207 0.216 0.136
0.817 0.705 0.351
0.677 0.212 0.159
0.327 0.719 0.838
0.184 0.215 0.645
0.649 0.600 0.176
0.836 0.097 0.820
0.471 0.337 0.036
0.517 0.836 0.968
0.335 0.106 0.334
0.632 0.607 0.705
0.025 0.302 0.972
0.001 0.803 0.001
0.159 0.597 0.182
0.356 0.100 0.818
0.482 0.339 0.464
0.947 0.833 0.537
0.049 0.334 0.473
0.513 0.838 0.541
0.859 0.101 0.323
0.152 0.603 0.670
```


Record 3
Li3Mn4P8O28: optimized geometry, PBE with a Hubbard U.

## Properties
excess energy over the best structure of this formula in the dataset = 0.00 kJ/mol of atoms
total magnetic moment = 31.88 Bohr magnetons per cell
energy of formation = -2450 meV per atom

Structure (POSCAR):
```
Li3Mn4P8O28
1.0
9.709 0.000 0.000
-0.103 9.760 0.000
-2.103 -0.280 11.081
Li Mn P O
6 8 16 56
Direct
0.912 0.104 0.982
0.583 0.589 0.024
0.408 0.034 0.504
0.092 0.894 0.018
0.155 0.580 0.531
0.101 0.288 0.450
0.800 0.927 0.340
0.726 0.224 0.170
0.771 0.711 0.829
0.695 0.426 0.657
0.303 0.582 0.324
0.242 0.293 0.172
0.282 0.771 0.833
0.191 0.072 0.666
0.978 0.446 0.247
0.878 0.712 0.120
0.935 0.931 0.753
0.863 0.150 0.569
0.625 0.656 0.422
0.572 0.427 0.244
0.466 0.067 0.237
0.620 0.207 0.887
0.385 0.791 0.113
0.529 0.936 0.752
0.435 0.566 0.756
0.371 0.345 0.580
0.127 0.857 0.430
0.062 0.068 0.244
0.117 0.288 0.881
0.028 0.557 0.758
0.985 0.430 0.379
0.975 0.849 0.445
0.912 0.075 0.275
0.898 0.335 0.161
0.902 0.587 0.211
0.808 0.820 0.191
0.774 0.661 0.004
0.973 0.249 0.900
0.863 0.064 0.690
0.938 0.944 0.888
0.876 0.546 0.789
0.809 0.292 0.598
0.843 0.805 0.703
0.773 0.070 0.464
0.707 0.585 0.530
0.665 0.311 0.307
0.670 0.801 0.397
0.615 0.060 0.203
0.637 0.570 0.300
0.588 0.421 0.113
0.528 0.756 0.090
0.721 0.157 0.001
0.680 0.325 0.826
0.602 0.083 0.792
0.587 0.569 0.728
0.619 0.832 0.834
0.460 0.098 0.366
0.522 0.341 0.562
0.465 0.653 0.428
0.521 0.924 0.619
0.378 0.163 0.145
0.418 0.421 0.267
0.397 0.917 0.207
0.310 0.681 0.173
0.284 0.840 0.998
0.478 0.250 0.914
0.431 0.589 0.888
0.371 0.418 0.711
0.383 0.937 0.792
0.314 0.199 0.592
0.333 0.673 0.689
0.272 0.426 0.487
0.221 0.946 0.530
0.154 0.193 0.300
0.186 0.714 0.413
0.135 0.459 0.218
0.064 0.058 0.111
0.134 0.933 0.305
0.016 0.753 0.092
0.211 0.338 0.000
0.190 0.177 0.815
0.103 0.413 0.791
0.113 0.665 0.846
0.085 0.923 0.722
0.018 0.166 0.558
0.026 0.575 0.628
```